(1)
BaSb2F12 | PBE-GGA | relaxed

* space-group type: P1 (1)
* density: 4.13 Mg/m³

Cell lengths 5.350, 5.710, 9.476 Å; angles 91.62, 104.43, 117.56 degrees
Atoms (fractional coordinates):
Ba  0.000  0.000  0.000
Sb  0.085  0.526  0.679
Sb  0.430  0.712  0.260
F  0.087  0.545  0.080
F  0.228  0.396  0.335
F  0.234  0.903  0.299
F  0.268  0.310  0.675
F  0.327  0.786  0.583
F  0.398  0.733  0.866
F  0.576  0.529  0.153
F  0.610  0.002  0.151
F  0.770  0.868  0.424
F  0.776  0.352  0.500
F  0.863  0.275  0.794
F  0.916  0.740  0.733



(2)
BaSb2F12 | PBE-GGA | relaxed

* space-group type: P1 (1)
* density: 3.78 Mg/m³

Cell lengths 5.740, 5.746, 9.437 Å; angles 97.51, 95.16, 118.42 degrees
Atoms (fractional coordinates):
Ba  0.000  0.000  0.000
Sb  0.232  0.536  0.665
Sb  0.389  0.730  0.214
F  0.055  0.554  0.070
F  0.079  0.280  0.793
F  0.136  0.766  0.788
F  0.219  0.418  0.296
F  0.246  0.940  0.300
F  0.346  0.307  0.571
F  0.403  0.812  0.558
F  0.502  0.524  0.084
F  0.528  0.996  0.088
F  0.566  0.708  0.806
F  0.734  0.901  0.328
F  0.895  0.380  0.543



Which is the most stable structure? (2) is the most stable.



(1)
BaY3F11 | PBE-GGA | relaxed

* space-group type: P2_12_12_1 (19)
* density: 2.79 Mg/m³

Cell lengths 6.270, 7.855, 29.681 Å; angles 90.00, 90.00, 90.00 degrees
Atoms (fractional coordinates):
Ba  0.230  0.094  0.290
Ba  0.270  0.906  0.790
Ba  0.730  0.406  0.710
Ba  0.770  0.594  0.210
Y  0.235  0.059  0.647
Y  0.241  0.410  0.531
Y  0.241  0.750  0.414
Y  0.259  0.250  0.914
Y  0.259  0.590  0.031
Y  0.265  0.941  0.147
Y  0.735  0.441  0.353
Y  0.741  0.090  0.469
Y  0.741  0.750  0.586
Y  0.759  0.250  0.086
Y  0.759  0.910  0.969
Y  0.765  0.559  0.853
F  0.001  0.242  0.500
F  0.015  0.570  0.382
F  0.018  0.416  0.061
F  0.021  0.067  0.941
F  0.021  0.894  0.609
F  0.045  0.691  0.827
F  0.091  0.767  0.193
F  0.229  0.891  0.706
F  0.237  0.579  0.473
F  0.241  0.870  0.348
F  0.246  0.754  0.091
F  0.254  0.246  0.591
F  0.259  0.130  0.848
F  0.263  0.421  0.973
F  0.271  0.109  0.206
F  0.409  0.233  0.693
F  0.455  0.309  0.327
F  0.479  0.106  0.109
F  0.479  0.933  0.441
F  0.482  0.584  0.561
F  0.485  0.430  0.882
F  0.499  0.758  0.000
F  0.501  0.258  0.500
F  0.515  0.930  0.618
F  0.518  0.084  0.939
F  0.521  0.433  0.059
F  0.521  0.606  0.391
F  0.545  0.809  0.173
F  0.591  0.733  0.807
F  0.729  0.609  0.294
F  0.737  0.921  0.527
F  0.741  0.630  0.652
F  0.746  0.746  0.909
F  0.754  0.254  0.409
F  0.759  0.370  0.152
F  0.763  0.079  0.027
F  0.771  0.391  0.794
F  0.909  0.267  0.307
F  0.955  0.191  0.673
F  0.979  0.394  0.891
F  0.979  0.567  0.559
F  0.982  0.916  0.439
F  0.985  0.070  0.118
F  0.999  0.742  0.000



(2)
BaY3F11 | PBE-GGA | relaxed

* space-group type: Pmma (51)
* density: 3.26 Mg/m³

Cell lengths 8.681, 4.429, 16.267 Å; angles 90.00, 90.00, 90.00 degrees
Atoms (fractional coordinates):
Ba  0.250  0.000  0.015
Ba  0.750  0.000  0.985
Y  0.000  0.000  0.500
Y  0.001  0.000  0.236
Y  0.499  0.000  0.236
Y  0.500  0.000  0.500
Y  0.501  0.000  0.764
Y  0.999  0.000  0.764
F  0.000  0.500  0.500
F  0.007  0.500  0.759
F  0.033  0.000  0.898
F  0.051  0.000  0.368
F  0.250  0.000  0.207
F  0.250  0.000  0.526
F  0.250  0.000  0.746
F  0.250  0.500  0.075
F  0.449  0.000  0.368
F  0.467  0.000  0.898
F  0.493  0.500  0.759
F  0.500  0.500  0.500
F  0.507  0.500  0.241
F  0.533  0.000  0.102
F  0.551  0.000  0.632
F  0.750  0.000  0.254
F  0.750  0.000  0.474
F  0.750  0.000  0.793
F  0.750  0.500  0.925
F  0.949  0.000  0.632
F  0.967  0.000  0.102
F  0.993  0.500  0.241



(3)
BaY3F11 | PBE-GGA | relaxed

* space-group type: P-1 (2)
* density: 4.73 Mg/m³

Cell lengths 7.738, 8.254, 8.287 Å; angles 80.49, 65.08, 63.75 degrees
Atoms (fractional coordinates):
Ba  0.189  0.253  0.337
Ba  0.811  0.747  0.663
Y  0.229  0.249  0.790
Y  0.271  0.766  0.713
Y  0.307  0.750  0.160
Y  0.693  0.250  0.840
Y  0.729  0.234  0.287
Y  0.771  0.751  0.210
F  0.049  0.623  0.312
F  0.066  0.040  0.233
F  0.073  0.777  0.022
F  0.144  0.550  0.773
F  0.218  0.734  0.468
F  0.263  0.041  0.621
F  0.316  0.309  0.993
F  0.357  0.895  0.890
F  0.404  0.303  0.499
F  0.431  0.901  0.258
F  0.497  0.547  0.831
F  0.503  0.453  0.169
F  0.569  0.099  0.742
F  0.596  0.697  0.501
F  0.643  0.105  0.110
F  0.684  0.691  0.007
F  0.737  0.959  0.379
F  0.782  0.266  0.532
F  0.856  0.450  0.227
F  0.927  0.223  0.978
F  0.934  0.960  0.767
F  0.951  0.377  0.688



Which is the most stable structure? (3) is the most stable.



(1)
BaMgFe2S4 | PBE-GGA | relaxed

* space-group type: I4/m (87)
* density: 3.66 Mg/m³

Cell lengths 6.213, 6.213, 6.213 Å; angles 105.73, 105.73, 117.25 degrees
Atoms (fractional coordinates):
Ba  0.000  0.000  0.000
Mg  0.500  0.500  0.000
Fe  0.250  0.750  0.500
Fe  0.750  0.250  0.500
S  0.193  0.624  0.817
S  0.376  0.193  0.570
S  0.624  0.807  0.430
S  0.807  0.376  0.183



(2)
BaMgFe2S4 | PBE-GGA | relaxed

* space-group type: P1 (1)
* density: 3.83 Mg/m³

Cell lengths 5.063, 6.372, 6.695 Å; angles 115.98, 90.09, 113.36 degrees
Atoms (fractional coordinates):
Ba  0.000  0.000  0.000
Mg  0.575  0.153  0.586
Fe  0.084  0.668  0.368
Fe  0.583  0.669  0.368
S  0.006  0.014  0.476
S  0.291  0.584  0.081
S  0.388  0.776  0.667
S  0.675  0.350  0.329



(3)
BaMgFe2S4 | PBE-GGA | relaxed

* space-group type: C2 (5)
* density: 3.99 Mg/m³

Cell lengths 6.016, 6.016, 6.507 Å; angles 122.57, 122.57, 73.20 degrees
Atoms (fractional coordinates):
Ba  0.000  0.000  0.000
Mg  0.999  0.001  0.500
Fe  0.500  0.500  0.000
Fe  0.500  0.500  0.500
S  0.166  0.499  0.583
S  0.501  0.165  0.084
S  0.501  0.834  0.417
S  0.835  0.499  0.916



Which is the most stable structure? (2) is the most stable.



(1)
BaMg6Ga | PBE-GGA | relaxed

* density: 2.73 Mg/m³

Cell lengths 5.077, 7.082, 11.928 Å; angles 90.00, 90.00, 90.00 degrees
Atoms (fractional coordinates):
Mg  0.000  0.236  0.580
Mg  0.500  0.784  0.429
Mg  0.000  0.264  0.080
Mg  0.000  0.764  0.580
Mg  0.500  0.716  0.929
Mg  0.000  0.000  0.337
Mg  0.000  0.736  0.080
Mg  0.500  0.500  0.666
Mg  0.500  0.000  0.166
Mg  0.500  0.284  0.929
Mg  0.000  0.500  0.837
Mg  0.500  0.216  0.429
Ba  0.000  0.000  0.829
Ba  0.000  0.500  0.329
Ga  0.500  0.500  0.150
Ga  0.500  0.000  0.650



(2)
BaMg6Ga | PBE-GGA | relaxed

* space-group type: Amm2 (38)
* density: 2.67 Mg/m³

Cell lengths 5.016, 7.753, 7.753 Å; angles 46.62, 90.00, 90.00 degrees
Atoms (fractional coordinates):
Ba  0.000  0.000  0.000
Mg  0.000  0.492  0.973
Mg  0.000  0.973  0.492
Mg  0.500  0.120  0.610
Mg  0.500  0.169  0.169
Mg  0.500  0.591  0.591
Mg  0.500  0.610  0.120
Ga  0.000  0.401  0.401



Which is the most stable structure? (2) is the most stable.



(1)
BaGdNbSnO6 | PBE-GGA | relaxed

* space-group type: P-1 (2)
* density: 6.52 Mg/m³

Cell lengths 5.961, 6.022, 8.549 Å; angles 90.56, 90.31, 90.60 degrees
Atoms (fractional coordinates):
Ba  0.006  0.022  0.249
Ba  0.994  0.978  0.751
Gd  0.000  0.500  0.000
Gd  0.500  0.000  0.500
Nb  0.000  0.500  0.500
Nb  0.500  0.000  0.000
Sn  0.496  0.482  0.752
Sn  0.504  0.518  0.248
O  0.099  0.496  0.734
O  0.191  0.773  0.473
O  0.223  0.808  0.018
O  0.268  0.304  0.445
O  0.310  0.277  0.047
O  0.443  0.037  0.767
O  0.557  0.963  0.233
O  0.690  0.723  0.953
O  0.732  0.696  0.555
O  0.777  0.192  0.982
O  0.809  0.227  0.527
O  0.901  0.504  0.266



(2)
BaGdNbSnO6 | PBE-GGA | relaxed

* space-group type: Pnnn (48)
* density: 6.51 Mg/m³

Cell lengths 8.446, 8.525, 8.536 Å; angles 90.00, 90.00, 90.00 degrees
Atoms (fractional coordinates):
Ba  0.250  0.250  0.250
Ba  0.250  0.250  0.750
Ba  0.750  0.750  0.250
Ba  0.750  0.750  0.750
Gd  0.000  0.000  0.000
Gd  0.000  0.500  0.500
Gd  0.500  0.000  0.500
Gd  0.500  0.500  0.000
Nb  0.000  0.000  0.500
Nb  0.000  0.500  0.000
Nb  0.500  0.000  0.000
Nb  0.500  0.500  0.500
Sn  0.250  0.750  0.250
Sn  0.250  0.750  0.750
Sn  0.750  0.250  0.250
Sn  0.750  0.250  0.750
O  0.031  0.734  0.047
O  0.031  0.766  0.453
O  0.036  0.542  0.766
O  0.036  0.958  0.734
O  0.234  0.036  0.476
O  0.234  0.464  0.024
O  0.266  0.036  0.024
O  0.266  0.464  0.476
O  0.464  0.542  0.734
O  0.464  0.958  0.766
O  0.469  0.734  0.453
O  0.469  0.766  0.047
O  0.531  0.234  0.953
O  0.531  0.266  0.547
O  0.536  0.042  0.234
O  0.536  0.458  0.266
O  0.734  0.536  0.524
O  0.734  0.964  0.976
O  0.766  0.536  0.976
O  0.766  0.964  0.524
O  0.964  0.042  0.266
O  0.964  0.458  0.234
O  0.969  0.234  0.547
O  0.969  0.266  0.953



Which is the most stable structure? (1) is the most stable.



(1)
BaSrGdNbO6 | PBE-GGA | relaxed

* space-group type: F-43m (216)
* density: 6.05 Mg/m³

Cell lengths 6.054, 6.054, 6.054 Å; angles 60.00, 60.00, 60.00 degrees
Atoms (fractional coordinates):
Ba  0.000  0.000  0.000
Sr  0.500  0.500  0.500
Gd  0.750  0.750  0.750
Nb  0.250  0.250  0.250
O  0.014  0.014  0.486
O  0.014  0.486  0.014
O  0.014  0.486  0.486
O  0.486  0.014  0.014
O  0.486  0.014  0.486
O  0.486  0.486  0.014



(2)
BaSrGdNbO6 | PBE-GGA | relaxed

* space-group type: P-1 (2)
* density: 6.18 Mg/m³

Cell lengths 5.991, 6.026, 8.496 Å; angles 90.31, 90.24, 90.26 degrees
Atoms (fractional coordinates):
Ba  0.006  0.026  0.250
Ba  0.994  0.974  0.750
Sr  0.494  0.532  0.251
Sr  0.506  0.468  0.749
Gd  0.000  0.500  0.500
Gd  0.500  0.000  0.000
Nb  0.000  0.500  0.000
Nb  0.500  0.000  0.500
O  0.077  0.508  0.766
O  0.203  0.766  0.036
O  0.236  0.795  0.466
O  0.270  0.302  0.039
O  0.304  0.273  0.462
O  0.438  0.022  0.734
O  0.562  0.978  0.266
O  0.696  0.727  0.538
O  0.730  0.698  0.961
O  0.764  0.205  0.534
O  0.797  0.234  0.964
O  0.923  0.492  0.234



Which is the most stable structure? (2) is the most stable.